(1)
This record from the Materials Project database describes a relaxed structure of Li4NiB2O6. The functional is PBE with a Hubbard U.

Mass density = 2.8 g/cm³
Spin magnetization = 0.000 Bohr magnetons per cell
Total energy = -6.198 eV per atom

abc: 6.499 9.364 8.523
angles: 90.00 112.41 90.00
Space group P2_1 (No. 4)
Unique sites:
1 Li 0.000 0.000 0.251
2 Li 0.000 0.081 0.751
3 Li 0.166 0.350 0.582
4 Li 0.166 0.731 0.081
5 Li 0.334 0.231 0.918
6 Li 0.334 0.850 0.418
7 Li 0.500 0.000 0.251
8 Li 0.500 0.081 0.751
9 Ni 0.250 0.290 0.250
10 Ni 0.250 0.791 0.749
11 B 0.132 0.095 0.514
12 B 0.132 0.986 0.014
13 B 0.368 0.486 0.986
14 B 0.368 0.595 0.486
15 O 0.057 0.182 0.365
16 O 0.057 0.899 0.864
17 O 0.124 0.134 0.999
18 O 0.124 0.947 0.499
19 O 0.209 0.159 0.669
20 O 0.209 0.922 0.169
21 O 0.291 0.422 0.831
22 O 0.291 0.659 0.331
23 O 0.376 0.447 0.501
24 O 0.376 0.634 0.001
25 O 0.443 0.399 0.136
26 O 0.443 0.682 0.635



(2)
This record from the Materials Project database describes a relaxed structure of RbLi2Ni2B3O9. The functional is PBE with a Hubbard U.

Mass density = 3.2 g/cm³
Spin magnetization = 12.000 Bohr magnetons per cell
Total energy = -6.221 eV per atom

abc: 6.371 5.004 12.907
angles: 90.00 91.65 90.00
Space group P2/c (No. 13)
Unique sites:
1 Rb 0.000 0.210 0.250
2 Li 0.496 0.173 0.367
3 Ni 0.232 0.316 0.566
4 B 0.193 0.183 0.959
5 B 0.500 0.335 0.750
6 O 0.043 0.296 0.893
7 O 0.241 0.087 0.450
8 O 0.300 0.332 0.033
9 O 0.403 0.180 0.671
10 O 0.500 0.398 0.250